The following is a r²SCAN calculation of a geometry-optimized TbPmIr2 structure, from the Materials Project.

Cell lengths 4.9057, 4.9057, 4.9057 Å; angles 60.00, 60.00, 60.00 degrees
Element x y z (fractional)
Tb  0.0000  0.0000  0.0000
Pm  0.5000  0.5000  0.5000
Ir  0.2500  0.2500  0.2500
Ir  0.7500  0.7500  0.7500

Results
Total energy (eV per atom): -42.171
Space group: No. 225

The following is a r²SCAN calculation of a geometry-optimized Cs2FeF5 structure, from the Materials Project.

Cell lengths 5.9980, 7.8368, 12.6060 Å; angles 90.00, 90.00, 90.00 degrees
Element x y z (fractional)
Cs  0.7500  0.4891  0.7249
Cs  0.2500  0.5109  0.2751
Cs  0.2500  0.0109  0.2249
Cs  0.7500  0.9891  0.7751
Cs  0.7500  0.1510  0.4155
Cs  0.2500  0.8490  0.5845
Cs  0.2500  0.3490  0.9155
Cs  0.7500  0.6510  0.0845
Fe  0.7500  0.1548  0.0623
Fe  0.2500  0.8452  0.9377
Fe  0.2500  0.3452  0.5623
Fe  0.7500  0.6548  0.4377
F  0.7500  0.2757  0.9289
F  0.2500  0.7243  0.0711
F  0.2500  0.2243  0.4289
F  0.7500  0.7757  0.5711
F  0.5203  0.2967  0.1171
F  0.4797  0.7033  0.8829
F  0.4797  0.2033  0.6171
F  0.0203  0.7033  0.8829
F  0.5203  0.7967  0.3829
F  0.9797  0.2967  0.1171
F  0.9797  0.7967  0.3829
F  0.0203  0.2033  0.6171
F  0.5000  0.0000  0.0000
F  0.5000  0.5000  0.5000
F  0.0000  0.0000  0.0000
F  0.0000  0.5000  0.5000
F  0.7500  0.0089  0.1822
F  0.2500  0.9911  0.8178
F  0.2500  0.4911  0.6822
F  0.7500  0.5089  0.3178

Results
Total energy (eV per atom): -12.904
Space group: No. 62

The following is a r²SCAN calculation of a geometry-optimized Ti13Pb3 structure, from the Materials Project.

Cell lengths 4.7932, 5.9944, 10.2924 Å; angles 90.00, 90.00, 90.00 degrees
Element x y z (fractional)
Ti  0.5000  0.5000  0.3325
Ti  0.5000  0.0000  0.8505
Ti  0.5000  0.7409  0.0872
Ti  0.5000  0.2608  0.5768
Ti  0.5000  0.2591  0.0872
Ti  0.5000  0.7392  0.5768
Ti  0.0000  0.0000  0.1554
Ti  0.0000  0.5000  0.6619
Ti  0.0000  0.7343  0.4073
Ti  0.0000  0.2577  0.9277
Ti  0.0000  0.2657  0.4073
Ti  0.0000  0.7423  0.9277
Ti  0.0000  0.5000  0.1691
Pb  0.0000  0.0000  0.6680
Pb  0.5000  0.0000  0.3333
Pb  0.5000  0.5000  0.8312

Results
Total energy (eV per atom): -21.135
Space group: No. 25

The following is a r²SCAN calculation of a geometry-optimized CaUO4 structure, from the Materials Project.

Cell lengths 6.3026, 6.3026, 6.3026 Å; angles 35.74, 35.74, 35.74 degrees
Element x y z (fractional)
Ca  0.5000  0.5000  0.5000
U  0.0000  0.0000  0.0000
O  0.6374  0.6374  0.6374
O  0.3626  0.3626  0.3626
O  0.1115  0.1115  0.1115
O  0.8885  0.8885  0.8885

Results
Total energy (eV per atom): -22.006
Space group: No. 166

The following is a r²SCAN calculation of a geometry-optimized Mg3Ga structure, from the Materials Project.

Cell lengths 3.2203, 9.7461, 5.2182 Å; angles 90.00, 90.00, 90.00 degrees
Element x y z (fractional)
Mg  0.5000  0.0000  0.8601
Mg  0.0000  0.2637  0.9852
Mg  0.5000  0.2363  0.4852
Mg  0.0000  0.5000  0.3601
Mg  0.5000  0.7637  0.4852
Mg  0.0000  0.7363  0.9852
Ga  0.0000  0.0000  0.3362
Ga  0.5000  0.5000  0.8362

Results
Total energy (eV per atom): -6.035

The following is a r²SCAN calculation of a geometry-optimized BaBrF structure, from the Materials Project.

Cell lengths 4.5399, 4.5399, 7.4954 Å; angles 90.00, 90.00, 90.00 degrees
Element x y z (fractional)
Ba  0.7500  0.7500  0.8084
Ba  0.2500  0.2500  0.1916
Br  0.2500  0.2500  0.6496
Br  0.7500  0.7500  0.3504
F  0.2500  0.7500  0.0000
F  0.7500  0.2500  0.0000

Results
Total energy (eV per atom): -17.675
Space group: No. 129

The following is a r²SCAN calculation of a geometry-optimized YAgS2 structure, from the Materials Project.

Cell lengths 7.3080, 7.3080, 7.3080 Å; angles 31.51, 31.51, 31.51 degrees
Element x y z (fractional)
Y  0.9996  0.9996  0.9996
Ag  0.1486  0.1486  0.1486
S  0.2658  0.2658  0.2658
S  0.7449  0.7449  0.7449

Results
Total energy (eV per atom): -15.948
Space group: No. 160

The following is a r²SCAN calculation of a geometry-optimized LaCuGe structure, from the Materials Project.

Cell lengths 4.2371, 4.2371, 4.2573 Å; angles 90.00, 90.00, 120.00 degrees
Element x y z (fractional)
La  0.3333  0.6667  0.0000
Cu  0.6667  0.3333  0.5000
Ge  0.0000  0.0000  0.5000

Results
Total energy (eV per atom): -18.880
Space group: No. 187

The following is a r²SCAN calculation of a geometry-optimized Be12Co structure, from the Materials Project.

Cell lengths 4.0820, 5.4571, 5.4571 Å; angles 81.96, 68.04, 68.04 degrees
Element x y z (fractional)
Be  0.0000  0.0000  0.5000
Be  0.5000  0.0000  0.5000
Be  0.5000  0.5000  0.0000
Be  0.0000  0.5000  0.0000
Be  0.0000  0.3455  0.6545
Be  0.0000  0.6545  0.3455
Be  0.6545  0.3455  0.3455
Be  0.3455  0.6545  0.6545
Be  0.5000  0.7872  0.2128
Be  0.5000  0.2128  0.7872
Be  0.7128  0.7872  0.7872
Be  0.2872  0.2128  0.2128
Co  0.0000  0.0000  0.0000

Results
Total energy (eV per atom): -5.036
Space group: No. 139

The following is a r²SCAN calculation of a geometry-optimized HoMgCd2 structure, from the Materials Project.

Cell lengths 5.0407, 5.0407, 5.0407 Å; angles 60.00, 60.00, 60.00 degrees
Element x y z (fractional)
Ho  0.5000  0.5000  0.5000
Mg  0.0000  0.0000  0.0000
Cd  0.7500  0.7500  0.7500
Cd  0.2500  0.2500  0.2500

Results
Total energy (eV per atom): -19.651
Space group: No. 225

The following is a r²SCAN calculation of a geometry-optimized Ca2MgC3O9 structure, from the Materials Project.

Cell lengths 4.8199, 6.0658, 11.7700 Å; angles 88.81, 78.18, 90.00 degrees
Element x y z (fractional)
Ca  0.8319  0.1645  0.3232
Ca  0.1681  0.8355  0.6768
Ca  0.3448  0.6645  0.3232
Ca  0.6552  0.3355  0.6768
Mg  0.5000  0.5000  0.0000
Mg  0.0000  0.0000  0.0000
C  0.7693  0.7500  0.5000
C  0.0803  0.4171  0.8501
C  0.4304  0.0829  0.1499
C  0.9197  0.5829  0.1499
C  0.2307  0.2500  0.5000
C  0.5696  0.9171  0.8501
O  0.2619  0.0035  0.2410
O  0.5919  0.6732  0.5892
O  0.8978  0.3214  0.9317
O  0.7004  0.0668  0.1444
O  0.0363  0.7500  0.5000
O  0.3448  0.4332  0.8556
O  0.9971  0.5035  0.2410
O  0.3189  0.1732  0.5892
O  0.6705  0.8214  0.9317
O  0.4081  0.3268  0.4108
O  0.7381  0.9965  0.7590
O  0.1022  0.6786  0.0683
O  0.9637  0.2500  0.5000
O  0.2996  0.9332  0.8556
O  0.6552  0.5668  0.1444
O  0.6811  0.8268  0.4108
O  0.0029  0.4965  0.7590
O  0.3295  0.1786  0.0683

Results
Total energy (eV per atom): -9.118
ΔE to the lowest computed polymorph (eV/atom): 0.0175
Space group: No. 15

The following is a r²SCAN calculation of a geometry-optimized Na2Ge2S5 structure, from the Materials Project.

Cell lengths 9.1203, 9.1203, 10.5774 Å; angles 90.00, 90.00, 90.48 degrees
Element x y z (fractional)
Na  0.9094  0.4184  0.7500
Na  0.0906  0.5816  0.2500
Na  0.4184  0.9094  0.2500
Na  0.5816  0.0906  0.7500
Na  0.1489  0.1489  0.5000
Na  0.8511  0.8511  0.0000
Na  0.8511  0.8511  0.5000
Na  0.1489  0.1489  0.0000
Ge  0.3139  0.4079  0.7500
Ge  0.6861  0.5921  0.2500
Ge  0.4079  0.3139  0.2500
Ge  0.5921  0.6861  0.7500
Ge  0.2551  0.7449  0.5804
Ge  0.7449  0.2551  0.0804
Ge  0.7449  0.2551  0.4196
Ge  0.2551  0.7449  0.9196
S  0.5550  0.4450  0.7500
S  0.4450  0.5550  0.2500
S  0.4970  0.7938  0.9223
S  0.5030  0.2062  0.4223
S  0.7938  0.4970  0.0777
S  0.2062  0.5030  0.5777
S  0.5030  0.2062  0.0777
S  0.4970  0.7938  0.5777
S  0.2062  0.5030  0.9223
S  0.7938  0.4970  0.4223
S  0.1542  0.8458  0.7500
S  0.8458  0.1542  0.2500
S  0.1571  0.8429  0.0833
S  0.8429  0.1571  0.5833
S  0.8429  0.1571  0.9167
S  0.1571  0.8429  0.4167
S  0.8225  0.7283  0.7500
S  0.1775  0.2717  0.2500
S  0.7283  0.8225  0.2500
S  0.2717  0.1775  0.7500

Results
Total energy (eV per atom): -9.137
Space group: No. 63

The following is a r²SCAN calculation of a geometry-optimized Lu4InRh structure, from the Materials Project.

Cell lengths 9.3912, 9.3912, 9.3912 Å; angles 60.00, 60.00, 60.00 degrees
Element x y z (fractional)
Lu  0.5994  0.5994  0.5994
Lu  0.5994  0.5994  0.2018
Lu  0.5994  0.2018  0.5994
Lu  0.2018  0.5994  0.5994
Lu  0.0608  0.4392  0.4392
Lu  0.4392  0.0608  0.0607
Lu  0.4392  0.0608  0.4392
Lu  0.0608  0.4392  0.0608
Lu  0.4392  0.4392  0.0608
Lu  0.0608  0.0608  0.4392
Lu  0.1890  0.8110  0.8110
Lu  0.8110  0.1890  0.1890
Lu  0.8110  0.1890  0.8110
Lu  0.1890  0.8110  0.1890
Lu  0.8110  0.8110  0.1890
Lu  0.1890  0.1890  0.8110
In  0.8336  0.8336  0.8336
In  0.8336  0.8336  0.4993
In  0.8336  0.4993  0.8336
In  0.4993  0.8336  0.8336
Rh  0.3924  0.3924  0.3924
Rh  0.3924  0.3924  0.8229
Rh  0.3924  0.8229  0.3924
Rh  0.8229  0.3924  0.3924

Results
Total energy (eV per atom): -33.838
Space group: No. 216

The following is a r²SCAN calculation of a geometry-optimized BaP2PbO7 structure, from the Materials Project.

Cell lengths 5.6364, 9.1299, 13.4614 Å; angles 90.00, 90.00, 90.00 degrees
Element x y z (fractional)
Ba  0.7500  0.1576  0.2605
Ba  0.2500  0.8424  0.7395
Ba  0.7500  0.6576  0.2395
Ba  0.2500  0.3424  0.7605
P  0.7500  0.2832  0.9661
P  0.2500  0.7168  0.0339
P  0.7500  0.7832  0.5339
P  0.2500  0.2168  0.4661
P  0.7500  0.0435  0.8205
P  0.2500  0.9565  0.1795
P  0.7500  0.5435  0.6795
P  0.2500  0.4565  0.3205
Pb  0.2500  0.3635  0.0884
Pb  0.7500  0.6365  0.9116
Pb  0.2500  0.8635  0.4116
Pb  0.7500  0.1365  0.5884
O  0.9732  0.3572  0.9264
O  0.4732  0.6428  0.0736
O  0.5268  0.8572  0.5736
O  0.0268  0.1428  0.4264
O  0.0268  0.6428  0.0736
O  0.5268  0.3572  0.9264
O  0.4732  0.1428  0.4264
O  0.9732  0.8572  0.5736
O  0.7500  0.2768  0.0784
O  0.2500  0.7232  0.9216
O  0.7500  0.7768  0.4216
O  0.2500  0.2232  0.5784
O  0.7500  0.1155  0.9295
O  0.2500  0.8845  0.0705
O  0.7500  0.6155  0.5705
O  0.2500  0.3845  0.4295
O  0.7500  0.8795  0.8374
O  0.2500  0.1205  0.1626
O  0.7500  0.3795  0.6626
O  0.2500  0.6205  0.3374
O  0.5284  0.0935  0.7655
O  0.0284  0.9065  0.2345
O  0.9716  0.5935  0.7345
O  0.4716  0.4065  0.2655
O  0.4716  0.9065  0.2345
O  0.9716  0.0935  0.7655
O  0.0284  0.4065  0.2655
O  0.5284  0.5935  0.7345

Results
Total energy (eV per atom): -15.556
Space group: No. 62

The following is a r²SCAN calculation of a geometry-optimized DyCoC2 structure, from the Materials Project.

Cell lengths 3.5589, 3.7271, 3.7271 Å; angles 106.30, 90.00, 90.00 degrees
Element x y z (fractional)
Dy  0.0000  0.9991  0.0009
Co  0.5000  0.6148  0.3852
C  0.5000  0.4601  0.8479
C  0.5000  0.1521  0.5399

Results
Total energy (eV per atom): -16.682
Space group: No. 38

The following is a r²SCAN calculation of a geometry-optimized ErMnO3 structure, from the Materials Project.

Cell lengths 6.0795, 6.0794, 11.3809 Å; angles 90.00, 90.00, 120.00 degrees
Element x y z (fractional)
Er  0.6667  0.3333  0.2286
Er  0.3333  0.6667  0.7286
Er  0.6667  0.3333  0.7286
Er  0.3333  0.6667  0.2286
Er  0.0000  0.0000  0.7735
Er  0.0000  0.0000  0.2735
Mn  0.6665  0.0000  0.4979
Mn  0.6665  0.6665  0.9979
Mn  0.0000  0.3335  0.9979
Mn  0.0000  0.6665  0.4979
Mn  0.3335  0.3335  0.4979
Mn  0.3335  0.0000  0.9979
O  0.6667  0.3333  0.0179
O  0.3333  0.6667  0.5179
O  0.6667  0.3333  0.5179
O  0.3333  0.6667  0.0179
O  0.0000  0.0000  0.9739
O  0.0000  0.0000  0.4739
O  0.3604  0.0000  0.8339
O  0.3604  0.3604  0.3339
O  0.0000  0.6396  0.3339
O  0.0000  0.3604  0.8339
O  0.6396  0.6396  0.8339
O  0.6396  0.0000  0.3339
O  0.3058  0.0000  0.1621
O  0.3058  0.3058  0.6622
O  0.0000  0.6942  0.6622
O  0.0000  0.3058  0.1621
O  0.6942  0.6942  0.1621
O  0.6942  0.0000  0.6622

Results
Total energy (eV per atom): -16.422
Space group: No. 185

The following is a r²SCAN calculation of a geometry-optimized Pb3Au structure, from the Materials Project.

Cell lengths 6.0839, 9.0244, 9.0244 Å; angles 83.60, 70.66, 70.66 degrees
Element x y z (fractional)
Pb  0.3567  0.6418  0.6428
Pb  0.0000  0.6416  0.3584
Pb  0.0000  0.3574  0.6426
Pb  0.6433  0.3572  0.3582
Pb  0.8514  0.0003  0.8065
Pb  0.3423  0.8084  0.9996
Pb  0.1486  0.1935  0.9997
Pb  0.6577  0.0004  0.1916
Pb  0.4819  0.9995  0.5920
Pb  0.9248  0.5951  0.0014
Pb  0.5181  0.4080  0.0005
Pb  0.0752  0.9986  0.4049
Au  0.7951  0.7039  0.7045
Au  0.5000  0.7038  0.2962
Au  0.5000  0.2949  0.7051
Au  0.2049  0.2955  0.2961

Results
Total energy (eV per atom): -54.922
Space group: No. 5

| no. | formation energy from the elements (eV/atom) |
| --- | --- |
| 1 | -0.7998 |
| 2 | -2.8719 |
| 3 | -0.0700 |
| 4 | -3.5276 |
| 5 | -0.0472 |
| 6 | -3.3806 |
| 7 | -1.5139 |
| 8 | -0.7254 |
| 9 | -0.0136 |
| 10 | -0.3354 |
| 11 | -2.3283 |
| 12 | -0.7988 |
| 13 | -0.6655 |
| 14 | -2.5931 |
| 15 | -0.4042 |
| 16 | -3.1171 |
| 17 | -0.0618 |